Compound: MnCr2O4
Source: Materials Project
Functional: GGA+U
Structure: optimized geometry

Output
theoretical density: 4.670 Mg/m³
formation energy from the elements: -2337 meV/atom

a = 6.069 Å, b = 6.080 Å, c = 6.069 Å
α = 120.06°, β = 60.12°, γ = 90.00°
Element x y z (fractional)
Mn: 0.125 0.125 0.250
Mn: 0.875 0.875 0.750
Cr: 0.500 0.000 0.500
Cr: 0.500 0.500 0.500
Cr: 0.000 0.500 0.000
Cr: 0.500 0.500 0.000
O: 0.264 0.264 0.528
O: 0.736 0.292 0.028
O: 0.736 0.736 0.028
O: 0.292 0.736 0.472
O: 0.264 0.264 0.972
O: 0.709 0.264 0.527
O: 0.264 0.709 0.972
O: 0.736 0.736 0.472